[1]
# K22Nb13In11P24O120 (PBE, optimized geometry)
data_K22Nb13In11P24O120
_cell_length_a 9.462
_cell_length_b 9.485
_cell_length_c 33.253
_cell_angle_alpha 90.10
_cell_angle_beta 90.12
_cell_angle_gamma 90.16
_space_group_name_H-M_alt 'P 1'
_space_group_IT_number 1
_space_group_name_Hall 'P 1'
loop_
_atom_site_label
_atom_site_fract_x
_atom_site_fract_y
_atom_site_fract_z
K1 0.000 0.000 0.000
K2 0.000 0.000 0.333
K3 0.009 0.548 0.167
K4 0.009 0.548 0.834
K5 0.223 0.775 0.584
K6 0.230 0.779 0.250
K7 0.230 0.779 0.917
K8 0.278 0.255 0.751
K9 0.279 0.258 0.084
K10 0.279 0.260 0.417
K11 0.488 0.500 0.000
K12 0.488 0.500 0.334
K13 0.490 0.501 0.667
K14 0.520 0.046 0.500
K15 0.521 0.048 0.167
K16 0.521 0.048 0.834
K17 0.731 0.290 0.250
K18 0.731 0.290 0.917
K19 0.731 0.292 0.584
K20 0.779 0.769 0.083
K21 0.783 0.767 0.418
K22 0.784 0.773 0.749
Nb1 0.108 0.388 0.316
Nb2 0.109 0.388 0.983
Nb3 0.113 0.393 0.652
Nb4 0.140 0.148 0.567
Nb5 0.390 0.877 0.399
Nb6 0.391 0.878 0.066
Nb7 0.391 0.879 0.732
Nb8 0.619 0.670 0.233
Nb9 0.619 0.670 0.899
Nb10 0.623 0.670 0.566
Nb11 0.894 0.157 0.481
Nb12 0.901 0.160 0.149
Nb13 0.901 0.160 0.815
In1 0.147 0.145 0.899
In2 0.148 0.145 0.232
In3 0.371 0.629 0.483
In4 0.375 0.631 0.149
In5 0.376 0.631 0.816
In6 0.634 0.917 0.315
In7 0.634 0.917 0.982
In8 0.641 0.917 0.650
In9 0.858 0.402 0.733
In10 0.862 0.403 0.066
In11 0.865 0.408 0.400
P1 0.171 0.596 0.734
P2 0.172 0.595 0.066
P3 0.172 0.595 0.400
P4 0.182 0.943 0.483
P5 0.183 0.941 0.150
P6 0.184 0.941 0.816
P7 0.330 0.102 0.652
P8 0.330 0.449 0.569
P9 0.331 0.102 0.319
P10 0.331 0.102 0.985
P11 0.332 0.447 0.235
P12 0.332 0.448 0.902
P13 0.676 0.100 0.735
P14 0.676 0.102 0.402
P15 0.677 0.101 0.069
P16 0.678 0.446 0.152
P17 0.678 0.446 0.819
P18 0.679 0.448 0.485
P19 0.825 0.606 0.650
P20 0.826 0.607 0.317
P21 0.826 0.607 0.983
P22 0.837 0.957 0.567
P23 0.838 0.953 0.233
P24 0.838 0.953 0.900
O1 0.000 0.974 0.572
O2 0.001 0.308 0.023
O3 0.001 0.308 0.357
O4 0.008 0.241 0.190
O5 0.008 0.241 0.856
O6 0.010 0.587 0.739
O7 0.011 0.590 0.073
O8 0.011 0.590 0.405
O9 0.019 0.220 0.526
O10 0.025 0.987 0.475
O11 0.026 0.987 0.143
O12 0.026 0.987 0.810
O13 0.039 0.274 0.276
O14 0.039 0.274 0.942
O15 0.054 0.270 0.606
O16 0.189 0.780 0.156
O17 0.189 0.780 0.823
O18 0.194 0.785 0.491
O19 0.217 0.752 0.060
O20 0.217 0.753 0.393
O21 0.219 0.750 0.726
O22 0.220 0.510 0.696
O23 0.222 0.511 0.029
O24 0.222 0.511 0.362
O25 0.236 0.024 0.522
O26 0.246 0.530 0.771
O27 0.246 0.532 0.104
O28 0.247 0.015 0.188
O29 0.247 0.015 0.854
O30 0.248 0.037 0.283
O31 0.248 0.037 0.949
O32 0.248 0.048 0.614
O33 0.249 0.532 0.437
O34 0.252 0.494 0.608
O35 0.253 0.494 0.274
O36 0.253 0.494 0.941
O37 0.267 0.527 0.532
O38 0.268 0.531 0.200
O39 0.268 0.531 0.866
O40 0.268 0.990 0.779
O41 0.268 0.991 0.113
O42 0.270 0.995 0.447
O43 0.284 0.020 0.690
O44 0.284 0.023 0.024
O45 0.285 0.023 0.358
O46 0.287 0.260 0.325
O47 0.287 0.260 0.659
O48 0.287 0.260 0.992
O49 0.308 0.285 0.562
O50 0.328 0.287 0.228
O51 0.328 0.287 0.895
O52 0.470 0.771 0.440
O53 0.471 0.771 0.106
O54 0.471 0.771 0.773
O55 0.489 0.095 0.643
O56 0.489 0.483 0.575
O57 0.490 0.492 0.242
O58 0.491 0.492 0.908
O59 0.492 0.097 0.312
O60 0.492 0.098 0.978
O61 0.504 0.809 0.025
O62 0.504 0.809 0.359
O63 0.504 0.809 0.692
O64 0.505 0.739 0.192
O65 0.505 0.740 0.859
O66 0.506 0.737 0.526
O67 0.517 0.451 0.811
O68 0.518 0.057 0.742
O69 0.518 0.448 0.478
O70 0.518 0.451 0.145
O71 0.519 0.057 0.075
O72 0.520 0.057 0.409
O73 0.538 0.777 0.273
O74 0.538 0.777 0.940
O75 0.541 0.777 0.606
O76 0.679 0.261 0.728
O77 0.681 0.261 0.061
O78 0.685 0.261 0.395
O79 0.722 0.288 0.158
O80 0.722 0.289 0.825
O81 0.722 0.525 0.525
O82 0.725 0.526 0.191
O83 0.725 0.526 0.858
O84 0.728 0.289 0.492
O85 0.740 0.555 0.612
O86 0.741 0.018 0.700
O87 0.741 0.557 0.279
O88 0.741 0.557 0.946
O89 0.742 0.017 0.033
O90 0.742 0.017 0.366
O91 0.755 0.055 0.774
O92 0.756 0.054 0.107
O93 0.758 0.055 0.441
O94 0.758 0.511 0.449
O95 0.761 0.511 0.116
O96 0.761 0.512 0.783
O97 0.763 0.019 0.604
O98 0.763 0.531 0.688
O99 0.763 0.533 0.021
O100 0.763 0.533 0.354
O101 0.764 0.016 0.271
O102 0.764 0.016 0.938
O103 0.788 0.038 0.196
O104 0.788 0.038 0.863
O105 0.788 0.040 0.529
O106 0.792 0.796 0.226
O107 0.792 0.796 0.893
O108 0.797 0.799 0.560
O109 0.820 0.765 0.656
O110 0.820 0.768 0.323
O111 0.820 0.768 0.990
O112 0.970 0.274 0.109
O113 0.971 0.274 0.775
O114 0.973 0.271 0.443
O115 0.982 0.556 0.642
O116 0.983 0.561 0.310
O117 0.983 0.561 0.976
O118 0.998 0.310 0.688
O119 0.999 0.959 0.240
O120 0.999 0.959 0.906
# Magnetic moment (μB per atom): 0.00

[2]
# CaTlCu3Se4 (PBE, optimized geometry)
data_CaTlCu3Se4
_cell_length_a 6.182
_cell_length_b 6.182
_cell_length_c 6.182
_cell_angle_alpha 90.00
_cell_angle_beta 90.00
_cell_angle_gamma 90.00
_space_group_name_H-M_alt 'P -4 3 m'
_space_group_IT_number 215
_space_group_name_Hall 'P -4 2 3'
loop_
_atom_site_label
_atom_site_fract_x
_atom_site_fract_y
_atom_site_fract_z
Ca1 0.000 0.000 0.000
Tl1 0.500 0.500 0.500
Cu1 0.000 0.500 0.500
Se1 0.257 0.257 0.743
# Magnetic moment (μB per atom): 0.00

[3]
# Na14Ca5Si6Sn3S6O48 (PBE, optimized geometry)
data_Na14Ca5Si6Sn3S6O48
_cell_length_a 9.391
_cell_length_b 16.275
_cell_length_c 22.873
_cell_angle_alpha 89.61
_cell_angle_beta 89.82
_cell_angle_gamma 89.88
_space_group_name_H-M_alt 'P 1'
_space_group_IT_number 1
_space_group_name_Hall 'P 1'
loop_
_atom_site_label
_atom_site_fract_x
_atom_site_fract_y
_atom_site_fract_z
Na1 0.000 0.000 0.000
Na2 0.000 0.326 0.343
Na3 0.047 0.667 0.659
Na4 0.145 0.166 0.416
Na5 0.146 0.528 0.247
Na6 0.147 0.820 0.074
Na7 0.165 0.510 0.751
Na8 0.168 0.195 0.912
Na9 0.174 0.828 0.571
Na10 0.261 0.670 0.160
Na11 0.320 0.697 0.493
Na12 0.335 0.322 0.494
Na13 0.340 0.021 0.831
Na14 0.340 0.650 0.818
Na15 0.345 0.996 0.169
Na16 0.348 0.352 0.149
Na17 0.465 0.848 0.649
Na18 0.467 0.500 0.673
Na19 0.469 0.521 0.332
Na20 0.487 0.158 0.323
Na21 0.487 0.201 0.993
Na22 0.511 0.498 0.987
Na23 0.518 0.827 0.342
Na24 0.539 0.170 0.653
Na25 0.649 0.326 0.071
Na26 0.653 0.668 0.911
Na27 0.655 0.680 0.410
Na28 0.659 0.012 0.252
Na29 0.661 0.019 0.746
Na30 0.692 0.338 0.576
Na31 0.760 0.168 0.160
Na32 0.807 0.822 0.844
Na33 0.817 0.195 0.492
Na34 0.821 0.525 0.838
Na35 0.832 0.162 0.826
Na36 0.838 0.820 0.480
Na37 0.841 0.501 0.166
Na38 0.847 0.852 0.162
Na39 0.961 0.014 0.328
Na40 0.963 0.000 0.664
Na41 0.973 0.675 0.327
Na42 0.986 0.697 0.992
Ca1 0.138 0.827 0.236
Ca2 0.147 0.505 0.598
Ca3 0.152 0.172 0.264
Ca4 0.156 0.507 0.092
Ca5 0.157 0.835 0.430
Ca6 0.158 0.178 0.765
Ca7 0.159 0.833 0.931
Ca8 0.161 0.824 0.732
Ca9 0.648 0.008 0.593
Ca10 0.650 0.326 0.231
Ca11 0.651 0.335 0.931
Ca12 0.654 0.006 0.095
Ca13 0.655 0.670 0.764
Ca14 0.655 0.675 0.266
Ca15 0.661 0.336 0.432
Si1 0.007 0.679 0.835
Si2 0.008 0.355 0.498
Si3 0.300 0.356 0.001
Si4 0.302 0.676 0.334
Si5 0.318 0.656 0.002
Si6 0.358 0.672 0.663
Si7 0.448 0.171 0.163
Si8 0.492 0.155 0.500
Si9 0.505 0.483 0.830
Si10 0.505 0.854 0.502
Si11 0.507 0.180 0.836
Si12 0.802 0.856 0.998
Si13 0.807 0.180 0.334
Si14 0.817 0.157 0.002
Si15 0.840 0.846 0.333
Si16 0.857 0.175 0.668
Si17 0.949 0.671 0.162
Si18 0.995 0.657 0.504
Sn1 0.133 0.511 0.407
Sn2 0.145 0.179 0.561
Sn3 0.156 0.184 0.059
Sn4 0.187 0.507 0.899
Sn5 0.642 0.006 0.402
Sn6 0.650 0.676 0.559
Sn7 0.654 0.328 0.736
Sn8 0.659 0.682 0.057
Sn9 0.668 0.012 0.904
S1 0.002 0.321 0.164
S2 0.012 0.024 0.161
S3 0.294 0.025 0.664
S4 0.309 0.989 0.329
S5 0.316 0.319 0.662
S6 0.345 0.345 0.332
S7 0.355 0.010 0.997
S8 0.451 0.508 0.497
S9 0.464 0.848 0.830
S10 0.500 0.820 0.162
S11 0.511 0.523 0.163
S12 0.793 0.519 0.664
S13 0.807 0.822 0.664
S14 0.811 0.487 0.329
S15 0.853 0.509 0.998
S16 0.950 0.342 0.830
S17 0.955 0.010 0.499
S18 0.999 0.989 0.831
O1 0.020 0.602 0.442
O2 0.031 0.941 0.777
O3 0.032 0.265 0.112
O4 0.034 0.419 0.833
O5 0.034 0.739 0.889
O6 0.039 0.090 0.502
O7 0.041 0.072 0.214
O8 0.042 0.269 0.824
O9 0.045 0.755 0.158
O10 0.048 0.587 0.160
O11 0.050 0.940 0.491
O12 0.053 0.750 0.497
O13 0.054 0.074 0.828
O14 0.055 0.282 0.218
O15 0.059 0.949 0.883
O16 0.066 0.403 0.552
O17 0.067 0.069 0.108
O18 0.069 0.617 0.560
O19 0.071 0.402 0.158
O20 0.080 0.398 0.435
O21 0.080 0.583 0.844
O22 0.085 0.711 0.774
O23 0.089 0.260 0.496
O24 0.089 0.944 0.163
O25 0.219 0.581 0.343
O26 0.222 0.406 0.945
O27 0.222 0.944 0.665
O28 0.223 0.709 0.275
O29 0.233 0.260 0.997
O30 0.234 0.073 0.613
O31 0.249 0.746 0.994
O32 0.250 0.946 0.380
O33 0.251 0.074 0.328
O34 0.252 0.617 0.060
O35 0.253 0.270 0.329
O36 0.253 0.420 0.335
O37 0.253 0.942 0.988
O38 0.258 0.278 0.714
O39 0.261 0.756 0.656
O40 0.263 0.588 0.663
O41 0.265 0.397 0.063
O42 0.265 0.404 0.658
O43 0.268 0.071 0.719
O44 0.272 0.090 0.998
O45 0.279 0.735 0.390
O46 0.283 0.945 0.274
O47 0.285 0.270 0.608
O48 0.297 0.594 0.943
O49 0.312 0.160 0.506
O50 0.326 0.491 0.831
O51 0.335 0.180 0.105
O52 0.337 0.838 0.497
O53 0.340 0.160 0.828
O54 0.343 0.831 0.164
O55 0.353 0.520 0.445
O56 0.354 0.510 0.161
O57 0.358 0.166 0.224
O58 0.368 0.498 0.552
O59 0.369 0.840 0.880
O60 0.381 0.860 0.775
O61 0.435 0.354 0.278
O62 0.436 0.337 0.384
O63 0.436 0.998 0.050
O64 0.451 0.014 0.659
O65 0.451 0.670 0.721
O66 0.452 0.019 0.943
O67 0.469 0.681 0.603
O68 0.470 0.995 0.334
O69 0.472 0.349 0.995
O70 0.473 0.658 0.330
O71 0.478 0.320 0.665
O72 0.499 0.653 0.004
O73 0.526 0.096 0.441
O74 0.531 0.766 0.111
O75 0.538 0.586 0.498
O76 0.539 0.571 0.217
O77 0.540 0.436 0.489
O78 0.541 0.228 0.895
O79 0.543 0.425 0.768
O80 0.544 0.087 0.161
O81 0.545 0.256 0.157
O82 0.546 0.249 0.490
O83 0.548 0.896 0.563
O84 0.553 0.781 0.216
O85 0.555 0.925 0.835
O86 0.560 0.775 0.827
O87 0.562 0.577 0.823
O88 0.568 0.568 0.110
O89 0.569 0.122 0.558
O90 0.569 0.901 0.158
O91 0.578 0.447 0.887
O92 0.582 0.902 0.445
O93 0.584 0.442 0.166
O94 0.589 0.223 0.776
O95 0.590 0.761 0.498
O96 0.596 0.086 0.838
O97 0.718 0.090 0.343
O98 0.718 0.437 0.666
O99 0.728 0.564 0.613
O100 0.731 0.903 0.937
O101 0.733 0.930 0.340
O102 0.735 0.761 0.995
O103 0.736 0.214 0.272
O104 0.740 0.764 0.331
O105 0.741 0.905 0.660
O106 0.747 0.445 0.379
O107 0.749 0.247 0.995
O108 0.749 0.260 0.670
O109 0.750 0.114 0.059
O110 0.752 0.782 0.717
O111 0.753 0.440 0.994
O112 0.754 0.094 0.663
O113 0.756 0.572 0.327
O114 0.766 0.903 0.058
O115 0.767 0.565 0.718
O116 0.767 0.588 0.998
O117 0.775 0.769 0.611
O118 0.784 0.243 0.387
O119 0.786 0.441 0.274
O120 0.796 0.094 0.942
O121 0.815 0.660 0.506
O122 0.833 0.669 0.831
O123 0.836 0.992 0.834
O124 0.838 0.681 0.103
O125 0.839 0.338 0.496
O126 0.845 0.331 0.165
O127 0.855 0.660 0.221
O128 0.856 0.011 0.159
O129 0.858 0.023 0.448
O130 0.858 0.353 0.775
O131 0.859 0.329 0.881
O132 0.873 0.999 0.554
O133 0.929 0.867 0.273
O134 0.933 0.501 0.053
O135 0.943 0.837 0.389
O136 0.948 0.510 0.659
O137 0.949 0.162 0.726
O138 0.949 0.517 0.946
O139 0.961 0.184 0.607
O140 0.964 0.832 0.665
O141 0.973 0.490 0.335
O142 0.974 0.851 0.992
O143 0.979 0.162 0.331
O144 0.998 0.153 0.004
# Magnetic moment (μB per atom): 0.00

[4]
Compound: TiGaRh2
Source: the Materials Project
Functional: PBE
Structure: optimized geometry

```
data_TiGaRh2
_cell_length_a 6.140
_cell_length_b 6.140
_cell_length_c 6.140
_cell_angle_alpha 90.00
_cell_angle_beta 90.00
_cell_angle_gamma 90.00
_space_group_name_H-M_alt 'F m -3 m'
_space_group_IT_number 225
_space_group_name_Hall '-F 4 2 3'
loop_
_atom_site_label
_atom_site_fract_x
_atom_site_fract_y
_atom_site_fract_z
Ti1 0.000 0.000 0.000
Ga1 0.000 0.000 0.500
Rh1 0.250 0.250 0.250
```

| no. | energy of formation from the pure elements (eV per atom) | theoretical density (g/cm³) | DFT total energy (eV/atom) |
| --- | --- | --- | --- |
| 1 | -2.74 | 3.34 | -7.0901 |
| 2 | -0.44 | 5.28 | -3.6406 |
| 3 | -2.48 | 2.86 | -6.1653 |
| 4 | -0.84 | 9.28 | -7.2569 |